Entry from the Materials Project database: an optimized crystal structure of P2Rh (PBE-GGA).

CIF file:
```
data_P2Rh
_chemical_formula_sum 'P8 Rh4'
_space_group_name_H-M_alt 'P 1 21/c 1'
_space_group_IT_number 14
_cell_length_a 5.792
_cell_length_b 5.844
_cell_length_c 5.891
_cell_angle_alpha 90.00
_cell_angle_beta 112.39
_cell_angle_gamma 90.00
loop_
_space_group_symop_operation_xyz
'x,y,z'
'-x,-y,-z'
'-x,y+1/2,-z+1/2'
'x,-y+1/2,z+1/2'
loop_
_atom_site_label
_atom_site_type_symbol
_atom_site_fract_x
_atom_site_fract_y
_atom_site_fract_z
P1 P 0.160 0.121 0.368
P2 P 0.334 0.623 0.688
Rh1 Rh 0.272 0.501 0.290
```

Entry from the Materials Project database: an optimized crystal structure of Mg6ZnBiO8 (PBE-GGA).

CIF file:
```
data_Mg6ZnBiO8
_chemical_formula_sum 'Mg6 Zn1 Bi1 O8'
_space_group_name_H-M_alt 'P 4/m m m'
_space_group_IT_number 123
_space_group_name_Hall '-P 4 2'
_cell_length_a 4.522
_cell_length_b 4.522
_cell_length_c 8.912
_cell_angle_alpha 90.00
_cell_angle_beta 90.00
_cell_angle_gamma 90.00
loop_
_atom_site_label
_atom_site_type_symbol
_atom_site_fract_x
_atom_site_fract_y
_atom_site_fract_z
Mg1 Mg 0.000 0.000 0.000
Mg2 Mg 0.000 0.000 0.500
Mg3 Mg 0.000 0.500 0.232
Zn1 Zn 0.500 0.500 0.000
Bi1 Bi 0.500 0.500 0.500
O1 O 0.000 0.000 0.250
O2 O 0.000 0.500 0.000
O3 O 0.000 0.500 0.500
O4 O 0.500 0.500 0.231
```

## Properties
* energy relative to the lowest polymorph listed for this composition: 18.5 meV per atom
* energy with MP2020 corrections: -92.239 eV/cell

How do the records compare in DFT formation energy? In the order shown, they have -0.641 -2.369 eV per atom.